Entry A
A geometry-optimized Na7MgSbO6 structure, computed with PBE.

a = 6.534 Å, b = 6.535 Å, c = 7.262 Å
α = 63.27°, β = 116.76°, γ = 120.02°
Element x y z (fractional)
Na: 0.938 0.833 0.662
Na: 0.499 0.867 0.360
Na: 0.727 0.500 0.360
Na: 0.322 0.678 0.967
Na: 0.557 0.063 0.662
Na: 0.167 0.443 0.662
Na: 0.133 0.273 0.360
Mg: 0.615 0.385 0.845
Sb: 0.030 0.970 0.090
O: 0.814 0.918 0.254
O: 0.570 0.695 0.753
O: 0.878 0.430 0.753
O: 0.082 0.642 0.254
O: 0.358 0.186 0.255
O: 0.305 0.122 0.753

Properties
Total moment in μB per atom: 0.000

Entry B
A geometry-optimized Na7MgSbO6 structure, computed with PBE.

a = 6.649 Å, b = 6.649 Å, c = 8.208 Å
α = 66.12°, β = 113.89°, γ = 120.00°
Element x y z (fractional)
Na: 0.890 0.710 0.655
Na: 0.549 0.931 0.389
Na: 0.771 0.451 0.389
Na: 0.395 0.604 0.186
Na: 0.475 0.111 0.655
Na: 0.291 0.525 0.655
Na: 0.069 0.229 0.389
Mg: 0.089 0.911 0.267
Sb: 0.951 0.049 0.854
O: 0.801 0.840 0.329
O: 0.650 0.836 0.719
O: 0.905 0.350 0.720
O: 0.160 0.631 0.329
O: 0.368 0.199 0.329
O: 0.164 0.095 0.719

Properties
Total moment in μB per atom: 0.000

Entry C
A geometry-optimized Na7MgSbO6 structure, computed with PBE.

a = 6.371 Å, b = 6.515 Å, c = 7.216 Å
α = 71.67°, β = 121.66°, γ = 113.57°
Element x y z (fractional)
Na: 0.872 0.744 0.610
Na: 0.423 0.873 0.365
Na: 0.740 0.360 0.413
Na: 0.243 0.584 0.073
Na: 0.555 0.091 0.866
Na: 0.316 0.515 0.658
Na: 0.978 0.168 0.308
Mg: 0.751 0.676 0.077
Sb: 0.085 0.126 0.915
O: 0.662 0.828 0.221
O: 0.686 0.848 0.769
O: 0.912 0.370 0.775
O: 0.058 0.563 0.285
O: 0.452 0.368 0.040
O: 0.139 0.106 0.677

Properties
Total moment in μB per atom: 0.000

Going by the computed energies, the most stable comes first: entry C, entry B, entry A.